Density functional theory data (r²SCAN) for an optimized crystal structure of Li8CrO6.

Computed properties:
Symmetry ... P6_3cm (185)
Formation enthalpy at 0 K ... -2.1338 eV/atom

a b c (Å): 5.4674 5.4674 10.6487
angles (deg): 90.00 90.00 120.00
Last column: nearest neighbours and their distance in Å.
Sites, in units of the cell vectors:
Li: 0.0000 0.3126 0.0000  4 O 1.95-2.02
Li: 0.0000 0.3910 0.3618  3 O 1.93-1.96
Li: 0.0000 0.6090 0.8618  3 O 1.93-1.96
Li: 0.0000 0.6874 0.5000  4 O 1.95-2.02
Li: 0.3126 0.0000 0.0000  4 O 1.95-2.02
Li: 0.3126 0.3126 0.5000  4 O 1.95-2.02
Li: 0.3333 0.6667 0.1402  4 O 1.94-2.03
Li: 0.3333 0.6667 0.6402  4 O 1.94-2.03
Li: 0.3910 0.0000 0.3618  3 O 1.93-1.96
Li: 0.3910 0.3910 0.8618  3 O 1.93-1.96
Li: 0.6090 0.0000 0.8618  3 O 1.93-1.96
Li: 0.6090 0.6090 0.3618  3 O 1.93-1.96
Li: 0.6667 0.3333 0.1402  4 O 1.94-2.03
Li: 0.6667 0.3333 0.6402  4 O 1.94-2.03
Li: 0.6874 0.0000 0.5000  4 O 1.95-2.02
Li: 0.6874 0.6874 0.0000  4 O 1.95-2.02
Cr: 0.0000 0.0000 0.2276  4 O 1.76-1.82
Cr: 0.0000 0.0000 0.7276  4 O 1.76-1.82
O: 0.0000 0.0000 0.3987  1 Cr 1.82, 3 Li 2.02
O: 0.0000 0.0000 0.8987  1 Cr 1.82, 3 Li 2.02
O: 0.0000 0.3101 0.1827  1 Cr 1.76, 4 Li 1.94-1.96
O: 0.0000 0.6899 0.6827  1 Cr 1.76, 4 Li 1.94-1.96
O: 0.3101 0.0000 0.1827  1 Cr 1.76, 4 Li 1.94-1.96
O: 0.3101 0.3101 0.6827  1 Cr 1.76, 4 Li 1.94-1.96
O: 0.3333 0.6667 0.4499  7 Li 1.93-2.03
O: 0.3333 0.6667 0.9499  7 Li 1.93-2.03
O: 0.6667 0.3333 0.4499  7 Li 1.93-2.03
O: 0.6667 0.3333 0.9499  7 Li 1.93-2.03
O: 0.6899 0.0000 0.6827  1 Cr 1.76, 4 Li 1.94-1.96
O: 0.6899 0.6899 0.1827  1 Cr 1.76, 4 Li 1.94-1.96

---

Density functional theory data (r²SCAN) for an optimized crystal structure of Li2CrO3.

Computed properties:
Symmetry ... C2/c (15)
Formation enthalpy at 0 K ... -2.3008 eV/atom

a b c (Å): 5.2902 5.2902 5.2620
angles (deg): 113.56 113.56 65.58
Last column: nearest neighbours and their distance in Å.
Sites, in units of the cell vectors:
Li: 0.0824 0.2402 0.0768  5 O 1.96-2.15
Li: 0.2402 0.0824 0.5768  5 O 1.96-2.15
Li: 0.7598 0.9176 0.4232  5 O 1.96-2.15
Li: 0.9176 0.7598 0.9232  5 O 1.96-2.15
Cr: 0.4136 0.5864 0.7500  3 O 1.74-1.80
Cr: 0.5864 0.4136 0.2500  3 O 1.74-1.80
O: 0.1101 0.8899 0.7500  1 Cr 1.74
O: 0.2819 0.4178 0.9321  2 Cr 1.80-1.98, 1 Li 2.01
O: 0.4178 0.2819 0.4321  2 Cr 1.80-1.98, 1 Li 2.01
O: 0.5822 0.7181 0.5679  2 Cr 1.80-1.98, 1 Li 2.01
O: 0.7181 0.5822 0.0679  2 Cr 1.80-1.98, 1 Li 2.01
O: 0.8899 0.1101 0.2500  1 Cr 1.74

---

Density functional theory data (r²SCAN) for an optimized crystal structure of LiCrP2O7.

Computed properties:
Symmetry ... P2_1/m (11)
Formation enthalpy at 0 K ... -2.4684 eV/atom

a b c (Å): 6.5915 8.1518 9.0591
angles (deg): 90.00 105.01 90.00
Last column: nearest neighbours and their distance in Å.
Sites, in units of the cell vectors:
Li: 0.2453 0.0763 0.2501  2 O 1.95-1.96
Li: 0.2453 0.4237 0.2501  2 O 1.95-1.96
Li: 0.7547 0.5763 0.7499  2 O 1.95-1.96
Li: 0.7547 0.9237 0.7499  2 O 1.95-1.96
Cr: 0.2500 0.0658 0.7500  6 O 1.92-2.01
Cr: 0.2500 0.4342 0.7500  6 O 1.92-2.01
Cr: 0.7500 0.5658 0.2500  6 O 1.92-2.01
Cr: 0.7500 0.9342 0.2500  6 O 1.92-2.01
P: 0.0014 0.2500 0.9430  4 O 1.49-1.59
P: 0.0806 0.7500 0.5280  4 O 1.50-1.56
P: 0.4195 0.7500 0.9724  4 O 1.50-1.56
P: 0.4971 0.2500 0.5562  4 O 1.49-1.60
P: 0.5029 0.7500 0.4438  4 O 1.49-1.60
P: 0.5805 0.2500 0.0276  4 O 1.50-1.56
P: 0.9194 0.2500 0.4720  4 O 1.50-1.56
P: 0.9986 0.7500 0.0570  4 O 1.49-1.59
O: 0.0179 0.0929 0.8519  1 P 1.54
O: 0.0179 0.4071 0.8519  1 P 1.54
O: 0.0823 0.5972 0.6200  1 P 1.50
O: 0.0823 0.9028 0.6200  1 P 1.50
O: 0.1152 0.2500 0.6111  1 P 1.55
O: 0.1331 0.2500 0.1038  1 P 1.49
O: 0.2405 0.7500 0.0569  2 P 1.56-1.59
O: 0.2613 0.7500 0.4453  2 P 1.56-1.60
O: 0.3639 0.2500 0.3959  1 P 1.49
O: 0.3838 0.2500 0.8891  1 P 1.55
O: 0.4164 0.5972 0.8804  1 P 1.50
O: 0.4164 0.9028 0.8804  1 P 1.50
O: 0.4815 0.0930 0.6476  1 P 1.54
O: 0.4815 0.4070 0.6476  1 P 1.54
O: 0.5185 0.5930 0.3524  1 P 1.54
O: 0.5185 0.9070 0.3524  1 P 1.54
O: 0.5836 0.0972 0.1196  1 P 1.50
O: 0.5836 0.4028 0.1196  1 P 1.50
O: 0.6162 0.7500 0.1109  1 P 1.55
O: 0.6361 0.7500 0.6041  1 P 1.49
O: 0.7387 0.2500 0.5547  2 P 1.56-1.60
O: 0.7595 0.2500 0.9431  2 P 1.56-1.59
O: 0.8669 0.7500 0.8962  1 P 1.49
O: 0.8848 0.7500 0.3889  1 P 1.55
O: 0.9177 0.0972 0.3800  1 P 1.50
O: 0.9177 0.4028 0.3800  1 P 1.50
O: 0.9821 0.5929 0.1481  1 P 1.54
O: 0.9821 0.9071 0.1481  1 P 1.54

---

Density functional theory data (r²SCAN) for an optimized crystal structure of LiCrP2O7.

Computed properties:
Symmetry ... P2_1/c (14)
Formation enthalpy at 0 K ... -2.4918 eV/atom

a b c (Å): 6.8782 8.0969 9.5787
angles (deg): 90.00 111.19 90.00
Last column: nearest neighbours and their distance in Å.
Sites, in units of the cell vectors:
Li: 0.1708 0.1376 0.2520  4 O 1.92-2.05
Li: 0.1708 0.3624 0.7520  4 O 1.92-2.05
Li: 0.8292 0.6376 0.2480  4 O 1.92-2.05
Li: 0.8292 0.8624 0.7480  4 O 1.92-2.05
Cr: 0.2223 0.0015 0.7518  6 O 1.97-2.00
Cr: 0.2223 0.4985 0.2518  6 O 1.97-2.00
Cr: 0.7777 0.5015 0.7482  6 O 1.97-2.00
Cr: 0.7777 0.9985 0.2482  6 O 1.97-2.00
P: 0.2012 0.6838 0.9466  4 O 1.50-1.60
P: 0.2012 0.8162 0.4466  4 O 1.50-1.60
P: 0.3887 0.2143 0.0582  4 O 1.51-1.59
P: 0.3887 0.2857 0.5582  4 O 1.51-1.59
P: 0.6113 0.7143 0.4418  4 O 1.51-1.59
P: 0.6113 0.7857 0.9418  4 O 1.51-1.59
P: 0.7988 0.1838 0.5534  4 O 1.50-1.60
P: 0.7988 0.3162 0.0534  4 O 1.50-1.60
O: 0.0847 0.5429 0.8457  1 P 1.52
O: 0.0847 0.9571 0.3457  1 P 1.52
O: 0.1249 0.6486 0.3762  1 P 1.52
O: 0.1249 0.8514 0.8762  1 P 1.52
O: 0.2070 0.6719 0.1043  1 P 1.50
O: 0.2070 0.8281 0.6043  1 P 1.50
O: 0.2463 0.1811 0.8981  1 P 1.52
O: 0.2463 0.3189 0.3981  1 P 1.52
O: 0.2708 0.1891 0.6369  1 P 1.51
O: 0.2708 0.3109 0.1369  1 P 1.51
O: 0.4333 0.6636 0.9485  2 P 1.59-1.60
O: 0.4333 0.8364 0.4485  2 P 1.59-1.60
O: 0.4838 0.0590 0.1435  1 P 1.51
O: 0.4838 0.4410 0.6435  1 P 1.51
O: 0.5162 0.5590 0.3565  1 P 1.51
O: 0.5162 0.9410 0.8565  1 P 1.51
O: 0.5667 0.1636 0.5515  2 P 1.59-1.60
O: 0.5667 0.3364 0.0515  2 P 1.59-1.60
O: 0.7292 0.6891 0.8631  1 P 1.51
O: 0.7292 0.8109 0.3631  1 P 1.51
O: 0.7537 0.6811 0.6019  1 P 1.52
O: 0.7537 0.8189 0.1019  1 P 1.52
O: 0.7930 0.1719 0.3957  1 P 1.50
O: 0.7930 0.3281 0.8957  1 P 1.50
O: 0.8751 0.1486 0.1238  1 P 1.52
O: 0.8751 0.3514 0.6238  1 P 1.52
O: 0.9153 0.0429 0.6543  1 P 1.52
O: 0.9153 0.4571 0.1543  1 P 1.52

---

Density functional theory data (r²SCAN) for an optimized crystal structure of Li3CrP2O8.

Computed properties:
Symmetry ... P2_1/c (14)
Formation enthalpy at 0 K ... -2.5386 eV/atom

a b c (Å): 4.8422 17.5033 7.6809
angles (deg): 90.00 125.93 90.00
Last column: nearest neighbours and their distance in Å.
Sites, in units of the cell vectors:
Li: 0.0054 0.0570 0.2848  3 O 1.94-2.15
Li: 0.0054 0.4430 0.7848  3 O 1.94-2.15
Li: 0.2799 0.6164 0.9987  5 O 1.97-2.20
Li: 0.2799 0.8836 0.4987  5 O 1.97-2.20
Li: 0.3728 0.1983 0.6886  4 O 1.96-2.13
Li: 0.3728 0.3017 0.1886  4 O 1.96-2.13
Li: 0.6272 0.6983 0.8114  4 O 1.96-2.13
Li: 0.6272 0.8017 0.3114  4 O 1.96-2.13
Li: 0.7201 0.1164 0.5013  5 O 1.97-2.20
Li: 0.7201 0.3836 0.0013  5 O 1.97-2.20
Li: 0.9946 0.5570 0.2152  3 O 1.94-2.15
Li: 0.9946 0.9430 0.7152  3 O 1.94-2.15
Cr: 0.1801 0.1275 0.9835  6 O 1.97-2.03
Cr: 0.1801 0.3725 0.4835  6 O 1.97-2.03
Cr: 0.8199 0.6275 0.5165  6 O 1.97-2.03
Cr: 0.8199 0.8725 0.0165  6 O 1.97-2.03
P: 0.1169 0.7156 0.2892  4 O 1.50-1.56
P: 0.1169 0.7844 0.7892  4 O 1.50-1.56
P: 0.4904 0.0353 0.7716  4 O 1.50-1.56
P: 0.4904 0.4647 0.2716  4 O 1.50-1.56
P: 0.5096 0.5353 0.7284  4 O 1.50-1.56
P: 0.5096 0.9647 0.2284  4 O 1.50-1.56
P: 0.8831 0.2156 0.2108  4 O 1.50-1.56
P: 0.8831 0.2844 0.7108  4 O 1.50-1.56
O: 0.0422 0.6730 0.0959  1 P 1.50
O: 0.0422 0.8270 0.5959  1 P 1.50
O: 0.1476 0.6968 0.7647  1 P 1.56
O: 0.1476 0.8032 0.2647  1 P 1.56
O: 0.1667 0.1989 0.1803  1 P 1.55
O: 0.1667 0.3011 0.6803  1 P 1.55
O: 0.1756 0.5670 0.5292  1 P 1.54
O: 0.1756 0.9330 0.0292  1 P 1.54
O: 0.1819 0.0602 0.7734  1 P 1.56
O: 0.1819 0.4398 0.2734  1 P 1.56
O: 0.4331 0.0640 0.5689  1 P 1.50
O: 0.4331 0.4360 0.0689  1 P 1.50
O: 0.4666 0.6922 0.4939  1 P 1.54
O: 0.4666 0.8078 0.9939  1 P 1.54
O: 0.4894 0.5537 0.2786  1 P 1.56
O: 0.4894 0.9463 0.7786  1 P 1.56
O: 0.5106 0.0537 0.2214  1 P 1.56
O: 0.5106 0.4463 0.7214  1 P 1.56
O: 0.5334 0.1922 0.0061  1 P 1.54
O: 0.5334 0.3078 0.5061  1 P 1.54
O: 0.5669 0.5640 0.9311  1 P 1.50
O: 0.5669 0.9360 0.4311  1 P 1.50
O: 0.8181 0.5602 0.7266  1 P 1.56
O: 0.8181 0.9398 0.2266  1 P 1.56
O: 0.8244 0.0670 0.9708  1 P 1.54
O: 0.8244 0.4330 0.4708  1 P 1.54
O: 0.8333 0.6989 0.3197  1 P 1.55
O: 0.8333 0.8011 0.8197  1 P 1.55
O: 0.8524 0.1968 0.7353  1 P 1.56
O: 0.8524 0.3032 0.2353  1 P 1.56
O: 0.9578 0.1730 0.4041  1 P 1.50
O: 0.9578 0.3270 0.9041  1 P 1.50

---

Density functional theory data (r²SCAN) for an optimized crystal structure of LiCrP2O7.

Computed properties:
Formation enthalpy at 0 K ... -2.4699 eV/atom

a b c (Å): 7.4686 9.7455 7.4686
angles (deg): 74.51 114.09 105.49
Last column: nearest neighbours and their distance in Å.
Sites, in units of the cell vectors:
O: 0.2655 0.6196 0.2344  1 P 1.49
O: 0.5022 0.3619 0.9978  1 P 1.55
Cr: 0.1827 0.0000 0.6827  6 O 1.92-2.01
P: 0.0269 0.3053 0.4730  4 O 1.50-1.56
O: 0.1760 0.4357 0.0095  1 P 1.54
P: 0.4731 0.1947 0.0270  4 O 1.50-1.56
O: 0.4978 0.6381 0.0022  1 P 1.55
O: 0.2346 0.8805 0.2657  1 P 1.49
O: 0.7657 0.1195 0.7346  1 P 1.49
O: 0.8287 0.3521 0.3644  1 P 1.50
P: 0.2206 0.0267 0.2795  4 O 1.49-1.60
O: 0.3644 0.1478 0.8288  1 P 1.50
P: 0.9731 0.6947 0.5269  4 O 1.50-1.56
O: 0.1581 0.3528 0.3412  2 P 1.56-1.60
O: 0.1359 0.3522 0.6711  1 P 1.50
O: 0.5095 0.5644 0.6760  1 P 1.54
O: 0.6761 0.9357 0.5096  1 P 1.54
O: 0.3240 0.0644 0.4904  1 P 1.54
O: 0.8239 0.5644 0.9903  1 P 1.54
O: 0.8644 0.6478 0.3288  1 P 1.50
P: 0.5269 0.8053 0.9731  4 O 1.50-1.56
P: 0.7795 0.9733 0.7205  4 O 1.49-1.60
Li: 0.5755 0.2499 0.5756  2 O 1.96
Cr: 0.6826 0.5000 0.1826  6 O 1.92-2.01
O: 0.9979 0.1381 0.5022  1 P 1.55
O: 0.1712 0.6478 0.6359  1 P 1.50
O: 0.9904 0.9356 0.8240  1 P 1.54
Li: 0.9247 0.2501 0.9245  2 O 1.96
O: 0.3288 0.8522 0.8645  1 P 1.50
O: 0.4902 0.4356 0.3239  1 P 1.54
O: 0.7344 0.3804 0.7655  1 P 1.49
Cr: 0.3174 0.5000 0.8174  6 O 1.92-2.01
O: 0.0022 0.8619 0.4979  1 P 1.55
Cr: 0.8175 0.0000 0.3174  6 O 1.92-2.01
O: 0.0097 0.0643 0.1761  1 P 1.54
P: 0.2794 0.4733 0.2204  4 O 1.49-1.60
O: 0.6360 0.8522 0.1712  1 P 1.50
O: 0.8413 0.6472 0.6582  2 P 1.56-1.60
O: 0.6712 0.1478 0.1358  1 P 1.50
P: 0.7205 0.5267 0.7794  4 O 1.49-1.60
O: 0.3415 0.1472 0.1584  2 P 1.56-1.60
Li: 0.4245 0.7499 0.4247  2 O 1.96
O: 0.6582 0.8528 0.8413  2 P 1.56-1.60
Li: 0.0756 0.7501 0.0755  2 O 1.96

---

Density functional theory data (r²SCAN) for an optimized crystal structure of Li2TiCrO4.

Computed properties:
Formation enthalpy at 0 K ... -2.6283 eV/atom

a b c (Å): 5.7167 9.3232 5.7167
angles (deg): 72.13 90.01 107.87
Last column: nearest neighbours and their distance in Å.
Sites, in units of the cell vectors:
Li: 0.6250 0.7500 0.8751  6 O 2.02-2.16
O: 0.6292 0.2584 0.8708  3 Li 2.02-2.17, 2 Ti 2.02, 1 Cr 2.03
O: 0.1208 0.2416 0.8792  2 Ti 2.02, 3 Li 2.02-2.17, 1 Cr 2.03
O: 0.2465 0.9929 0.7535  3 Li 2.02-2.16, 2 Cr 2.02, 1 Ti 2.04
Li: 0.7500 0.5001 0.2500  6 O 2.02-2.17
O: 0.4965 0.4929 0.0035  3 Li 2.02-2.16, 2 Cr 2.02, 1 Ti 2.04
Li: 0.0000 0.0000 0.5000  6 O 2.02-2.17
Cr: 0.2500 0.5000 0.2500  6 O 2.02-2.03
Ti: 0.8750 0.2500 0.6250  6 O 2.02-2.04
O: 0.5035 0.5071 0.4965  2 Cr 2.02, 3 Li 2.02-2.16, 1 Ti 2.04
O: 0.1292 0.2584 0.3708  3 Li 2.02-2.17, 2 Ti 2.02, 1 Cr 2.03
Li: 0.5000 0.0000 0.0000  6 O 2.02-2.17
O: 0.3792 0.7583 0.6208  3 Li 2.02-2.17, 2 Ti 2.02, 1 Cr 2.03
O: 0.7465 0.9929 0.2535  3 Li 2.02-2.16, 2 Cr 2.02, 1 Ti 2.04
Li: 0.8750 0.2500 0.1250  6 O 2.02-2.16
Ti: 0.1250 0.7500 0.8750  6 O 2.02-2.04
Ti: 0.3750 0.2500 0.1250  6 O 2.02-2.04
O: 0.2535 0.0070 0.2465  2 Cr 2.02, 3 Li 2.02-2.16, 1 Ti 2.04
Li: 0.2500 0.5001 0.7500  6 O 2.02-2.17
Cr: 0.7500 0.5000 0.7500  6 O 2.02-2.03
Li: 0.1250 0.7500 0.3750  6 O 2.02-2.16
Cr: 0.0000 0.0000 0.0000  6 O 2.02-2.03
Ti: 0.6250 0.7500 0.3750  6 O 2.02-2.04
O: 0.8708 0.7416 0.6292  2 Ti 2.02, 3 Li 2.02-2.17, 1 Cr 2.03
O: 0.3708 0.7415 0.1292  2 Ti 2.02, 3 Li 2.02-2.17, 1 Cr 2.03
O: 0.9965 0.4930 0.5035  3 Li 2.02-2.16, 2 Cr 2.02, 1 Ti 2.04
O: 0.6208 0.2416 0.3792  2 Ti 2.02, 3 Li 2.02-2.17, 1 Cr 2.03
O: 0.0035 0.5071 0.9965  2 Cr 2.02, 3 Li 2.02-2.16, 1 Ti 2.04
O: 0.7535 0.0071 0.7465  2 Cr 2.02, 3 Li 2.02-2.16, 1 Ti 2.04
Li: 0.3750 0.2499 0.6250  6 O 2.02-2.16
Cr: 0.5000 0.9999 0.5000  6 O 2.02-2.03
O: 0.8793 0.7585 0.1208  3 Li 2.02-2.17, 2 Ti 2.02, 1 Cr 2.03

---

Density functional theory data (r²SCAN) for an optimized crystal structure of LiVCrO4.

Computed properties:
Symmetry ... P-1 (2)
Formation enthalpy at 0 K ... -2.5067 eV/atom

a b c (Å): 5.7705 5.7785 5.8116
angles (deg): 118.71 91.34 119.25
Last column: nearest neighbours and their distance in Å.
Sites, in units of the cell vectors:
Li: 0.1254 0.2501 0.3747  4 O 1.93-1.96
Li: 0.8746 0.7499 0.6253  4 O 1.93-1.96
V: 0.0000 0.5000 0.0000  6 O 1.92-1.97
V: 0.5000 0.0000 0.0000  6 O 1.90-1.98
Cr: 0.5000 0.0000 0.5000  6 O 1.98-1.99
Cr: 0.5000 0.5000 0.0000  6 O 1.99
O: 0.2528 0.5258 0.7822  2 V 1.95-1.98, 1 Li 1.96, 1 Cr 1.99
O: 0.2542 0.9724 0.2293  1 Li 1.93, 2 V 1.97, 1 Cr 1.99
O: 0.2601 0.5253 0.2380  1 V 1.92, 1 Li 1.95, 2 Cr 1.98-1.99
O: 0.2882 0.0238 0.7668  1 V 1.90, 1 Li 1.96, 2 Cr 1.99
O: 0.7118 0.9762 0.2332  1 V 1.90, 1 Li 1.96, 2 Cr 1.99
O: 0.7399 0.4747 0.7620  1 V 1.92, 1 Li 1.95, 2 Cr 1.98-1.99
O: 0.7458 0.0276 0.7707  1 Li 1.93, 2 V 1.97, 1 Cr 1.99
O: 0.7472 0.4742 0.2178  2 V 1.95-1.98, 1 Li 1.96, 1 Cr 1.99

---

The highest formation enthalpy at 0 K belongs to which entry?
Li8CrO6